The following is a DFT calculation (GGA-PBE) of a relaxed structure of Na5Mg2Al2P3S3O24.

Calculated formation energy: -248.41 kJ/mol of atoms
MP2020-corrected energy: -795.35 eV/cell
E: -6.38 eV per atom

Structure (CIF):
```
data_Na5Mg2Al2P3S3O24
_chemical_formula_sum 'Na15 Mg6 Al6 P9 S9 O72'
_space_group_name_H-M_alt 'P 1'
_space_group_IT_number 1
_cell_length_a 8.650
_cell_length_b 8.662
_cell_length_c 21.844
_cell_angle_alpha 89.15
_cell_angle_beta 88.98
_cell_angle_gamma 60.37
loop_
_space_group_symop_operation_xyz
'x,y,z'
loop_
_atom_site_label
_atom_site_fract_x
_atom_site_fract_y
_atom_site_fract_z
Na1 0.000 0.000 0.000
Na2 0.004 0.273 0.502
Na3 0.011 0.641 0.252
Na4 0.035 0.304 0.169
Na5 0.307 0.299 0.668
Na6 0.334 0.334 0.335
Na7 0.352 0.956 0.087
Na8 0.355 0.959 0.586
Na9 0.361 0.262 0.007
Na10 0.366 0.635 0.501
Na11 0.672 0.292 0.419
Na12 0.679 0.307 0.919
Na13 0.695 0.596 0.340
Na14 0.702 0.970 0.835
Na15 0.994 0.645 0.753
Mg1 0.332 0.966 0.939
Mg2 0.337 0.966 0.439
Mg3 0.665 0.300 0.272
Mg4 0.675 0.293 0.773
Mg5 0.987 0.640 0.607
Mg6 0.999 0.632 0.106
Al1 0.011 0.621 0.404
Al2 0.331 0.971 0.238
Al3 0.336 0.956 0.737
Al4 0.658 0.296 0.569
Al5 0.668 0.294 0.069
Al6 0.995 0.639 0.905
P1 0.041 0.258 0.338
P2 0.048 0.959 0.839
P3 0.296 0.339 0.506
P4 0.325 0.682 0.338
P5 0.378 0.294 0.172
P6 0.664 0.006 0.674
P7 0.709 0.631 0.505
P8 0.709 0.924 0.005
P9 0.992 0.348 0.005
S1 0.295 0.629 0.004
S2 0.325 0.265 0.837
S3 0.378 0.595 0.671
S4 0.624 0.675 0.838
S5 0.630 0.961 0.337
S6 0.659 0.596 0.171
S7 0.960 0.006 0.171
S8 0.960 0.294 0.670
S9 0.993 0.924 0.504
O1 0.025 0.448 0.343
O2 0.026 0.788 0.845
O3 0.029 0.813 0.559
O4 0.033 0.419 0.062
O5 0.122 0.152 0.396
O6 0.125 0.986 0.897
O7 0.139 0.995 0.176
O8 0.141 0.131 0.676
O9 0.151 0.949 0.497
O10 0.154 0.158 0.998
O11 0.155 0.662 0.345
O12 0.163 0.441 0.844
O13 0.164 0.174 0.281
O14 0.169 0.933 0.782
O15 0.183 0.423 0.563
O16 0.183 0.662 0.059
O17 0.189 0.454 0.166
O18 0.201 0.611 0.665
O19 0.212 0.462 0.448
O20 0.213 0.594 0.950
O21 0.301 0.179 0.782
O22 0.303 0.800 0.281
O23 0.312 0.158 0.499
O24 0.316 0.786 0.997
O25 0.358 0.122 0.178
O26 0.361 0.151 0.892
O27 0.363 0.773 0.677
O28 0.364 0.754 0.395
O29 0.459 0.319 0.229
O30 0.461 0.480 0.725
O31 0.473 0.465 0.011
O32 0.482 0.328 0.512
O33 0.484 0.286 0.830
O34 0.486 0.996 0.680
O35 0.487 0.492 0.331
O36 0.489 0.514 0.614
O37 0.495 0.269 0.113
O38 0.497 0.773 0.177
O39 0.517 0.996 0.392
O40 0.519 0.754 0.893
O41 0.520 0.785 0.498
O42 0.520 0.955 0.997
O43 0.544 0.793 0.783
O44 0.547 0.927 0.283
O45 0.626 0.136 0.617
O46 0.635 0.506 0.117
O47 0.644 0.498 0.830
O48 0.650 0.120 0.329
O49 0.685 0.090 0.731
O50 0.692 0.116 0.011
O51 0.693 0.485 0.227
O52 0.697 0.453 0.512
O53 0.794 0.658 0.560
O54 0.795 0.813 0.061
O55 0.805 0.662 0.842
O56 0.806 0.798 0.344
O57 0.819 0.615 0.164
O58 0.823 0.326 0.013
O59 0.825 0.824 0.666
O60 0.829 0.596 0.445
O61 0.829 0.844 0.946
O62 0.834 0.106 0.511
O63 0.848 0.325 0.725
O64 0.851 0.090 0.225
O65 0.853 0.287 0.331
O66 0.858 0.120 0.832
O67 0.878 0.269 0.614
O68 0.881 0.123 0.115
O69 0.965 0.842 0.449
O70 0.968 0.467 0.948
O71 0.981 0.830 0.164
O72 0.990 0.448 0.665
```

---

The following is a DFT calculation (GGA-PBE) of a relaxed structure of Na2MgAlPS2O12.

Calculated formation energy: -241.03 kJ/mol of atoms
MP2020-corrected energy: -771.10 eV/cell
E: -6.33 eV per atom

Structure (CIF):
```
data_Na2MgAlPS2O12
_chemical_formula_sum 'Na12 Mg6 Al6 P6 S12 O72'
_space_group_name_H-M_alt 'P 1'
_space_group_IT_number 1
_cell_length_a 8.613
_cell_length_b 8.613
_cell_length_c 21.893
_cell_angle_alpha 90.50
_cell_angle_beta 90.50
_cell_angle_gamma 60.22
loop_
_space_group_symop_operation_xyz
'x,y,z'
loop_
_atom_site_label
_atom_site_fract_x
_atom_site_fract_y
_atom_site_fract_z
Na1 0.001 0.999 0.500
Na2 0.021 0.662 0.086
Na3 0.325 0.336 0.667
Na4 0.327 0.966 0.419
Na5 0.336 0.325 0.167
Na6 0.358 0.999 0.750
Na7 0.653 0.673 0.833
Na8 0.662 0.021 0.586
Na9 0.673 0.653 0.333
Na10 0.966 0.327 0.919
Na11 0.999 0.001 0.000
Na12 0.999 0.358 0.250
Mg1 0.320 0.335 0.312
Mg2 0.335 0.320 0.812
Mg3 0.652 0.664 0.979
Mg4 0.664 0.652 0.479
Mg5 0.993 0.998 0.146
Mg6 0.998 0.993 0.646
Al1 0.313 0.323 0.516
Al2 0.323 0.313 0.016
Al3 0.662 0.669 0.682
Al4 0.669 0.662 0.182
Al5 0.986 0.993 0.349
Al6 0.993 0.986 0.849
P1 0.031 0.323 0.412
P2 0.323 0.031 0.912
P3 0.366 0.955 0.579
P4 0.708 0.988 0.746
P5 0.955 0.366 0.079
P6 0.988 0.708 0.246
S1 0.040 0.622 0.915
S2 0.286 0.701 0.748
S3 0.293 0.982 0.248
S4 0.321 0.617 0.415
S5 0.376 0.653 0.082
S6 0.617 0.321 0.915
S7 0.622 0.040 0.415
S8 0.651 0.956 0.081
S9 0.653 0.376 0.582
S10 0.701 0.286 0.248
S11 0.956 0.651 0.581
S12 0.982 0.293 0.748
O1 0.012 0.787 0.187
O2 0.020 0.175 0.696
O3 0.022 0.143 0.405
O4 0.023 0.802 0.909
O5 0.114 0.345 0.353
O6 0.124 0.507 0.862
O7 0.137 0.489 0.574
O8 0.140 0.318 0.755
O9 0.143 0.022 0.905
O10 0.143 0.358 0.074
O11 0.149 0.517 0.252
O12 0.149 0.541 0.972
O13 0.156 0.799 0.410
O14 0.162 0.284 0.468
O15 0.175 0.020 0.196
O16 0.180 0.980 0.588
O17 0.181 0.781 0.693
O18 0.191 0.807 0.088
O19 0.204 0.822 0.802
O20 0.211 0.957 0.305
O21 0.284 0.162 0.968
O22 0.298 0.529 0.471
O23 0.306 0.524 0.756
O24 0.318 0.140 0.255
O25 0.345 0.114 0.853
O26 0.350 0.511 0.360
O27 0.358 0.143 0.574
O28 0.358 0.487 0.076
O29 0.452 0.682 0.027
O30 0.452 0.848 0.522
O31 0.468 0.687 0.742
O32 0.470 0.817 0.240
O33 0.475 0.648 0.422
O34 0.484 0.846 0.921
O35 0.487 0.358 0.576
O36 0.487 0.631 0.137
O37 0.489 0.137 0.074
O38 0.492 0.866 0.637
O39 0.507 0.124 0.362
O40 0.511 0.350 0.860
O41 0.517 0.149 0.752
O42 0.524 0.306 0.256
O43 0.529 0.298 0.971
O44 0.541 0.149 0.472
O45 0.621 0.874 0.136
O46 0.631 0.487 0.637
O47 0.640 0.860 0.421
O48 0.648 0.475 0.922
O49 0.682 0.452 0.527
O50 0.684 0.844 0.027
O51 0.687 0.468 0.242
O52 0.687 0.815 0.741
O53 0.781 0.181 0.193
O54 0.787 0.012 0.687
O55 0.799 0.156 0.910
O56 0.802 0.023 0.409
O57 0.807 0.191 0.588
O58 0.812 0.976 0.088
O59 0.815 0.687 0.241
O60 0.817 0.470 0.740
O61 0.822 0.204 0.302
O62 0.829 0.962 0.803
O63 0.844 0.684 0.527
O64 0.846 0.484 0.421
O65 0.848 0.452 0.022
O66 0.860 0.640 0.921
O67 0.866 0.492 0.137
O68 0.874 0.621 0.636
O69 0.957 0.211 0.805
O70 0.962 0.829 0.303
O71 0.976 0.812 0.588
O72 0.980 0.180 0.088
```

---

The following is a DFT calculation (GGA-PBE) of a relaxed structure of NaMgAl3S6O24.

Calculated formation energy: -225.12 kJ/mol of atoms
MP2020-corrected energy: -718.18 eV/cell
E: -6.37 eV per atom

Structure (CIF):
```
data_NaMgAl3S6O24
_chemical_formula_sum 'Na3 Mg3 Al9 S18 O72'
_space_group_name_H-M_alt 'P 1'
_space_group_IT_number 1
_cell_length_a 8.353
_cell_length_b 8.353
_cell_length_c 21.807
_cell_angle_alpha 90.00
_cell_angle_beta 90.00
_cell_angle_gamma 120.00
loop_
_space_group_symop_operation_xyz
'x,y,z'
loop_
_atom_site_label
_atom_site_fract_x
_atom_site_fract_y
_atom_site_fract_z
Na1 0.000 0.000 0.000
Na2 0.000 0.000 0.499
Na3 0.333 0.667 0.164
Mg1 0.000 0.000 0.146
Mg2 0.333 0.667 0.018
Mg3 0.333 0.667 0.521
Al1 0.000 0.000 0.349
Al2 0.000 0.000 0.647
Al3 0.000 0.000 0.850
Al4 0.333 0.667 0.315
Al5 0.333 0.667 0.812
Al6 0.667 0.333 0.188
Al7 0.667 0.333 0.478
Al8 0.667 0.333 0.687
Al9 0.667 0.333 0.977
S1 0.000 0.706 0.250
S2 0.001 0.290 0.749
S3 0.040 0.373 0.415
S4 0.041 0.667 0.914
S5 0.289 0.999 0.749
S6 0.294 0.294 0.250
S7 0.333 0.374 0.914
S8 0.333 0.960 0.415
S9 0.380 0.329 0.584
S10 0.384 0.051 0.082
S11 0.626 0.959 0.914
S12 0.627 0.667 0.415
S13 0.667 0.616 0.082
S14 0.671 0.051 0.584
S15 0.706 0.000 0.250
S16 0.710 0.711 0.749
S17 0.949 0.333 0.082
S18 0.949 0.620 0.584
O1 0.018 0.186 0.405
O2 0.019 0.833 0.905
O3 0.037 0.207 0.694
O4 0.041 0.820 0.195
O5 0.124 0.491 0.360
O6 0.126 0.634 0.859
O7 0.131 0.640 0.577
O8 0.132 0.500 0.078
O9 0.154 0.447 0.470
O10 0.154 0.707 0.969
O11 0.166 0.473 0.758
O12 0.166 0.685 0.260
O13 0.167 0.186 0.905
O14 0.168 0.982 0.405
O15 0.170 0.963 0.694
O16 0.180 0.220 0.195
O17 0.193 0.159 0.591
O18 0.201 0.035 0.087
O19 0.206 0.036 0.803
O20 0.208 0.176 0.305
O21 0.293 0.446 0.969
O22 0.293 0.846 0.470
O23 0.307 0.834 0.758
O24 0.315 0.481 0.260
O25 0.360 0.491 0.577
O26 0.366 0.492 0.859
O27 0.366 0.876 0.360
O28 0.368 0.868 0.078
O29 0.460 0.293 0.528
O30 0.469 0.163 0.026
O31 0.472 0.164 0.740
O32 0.477 0.312 0.242
O33 0.494 0.357 0.639
O34 0.496 0.136 0.138
O35 0.499 0.144 0.423
O36 0.499 0.355 0.923
O37 0.500 0.632 0.078
O38 0.508 0.874 0.859
O39 0.509 0.634 0.360
O40 0.509 0.869 0.577
O41 0.519 0.834 0.260
O42 0.527 0.693 0.758
O43 0.553 0.707 0.470
O44 0.554 0.846 0.969
O45 0.640 0.504 0.138
O46 0.643 0.137 0.639
O47 0.645 0.144 0.923
O48 0.645 0.501 0.423
O49 0.688 0.165 0.242
O50 0.692 0.528 0.740
O51 0.694 0.531 0.026
O52 0.707 0.167 0.528
O53 0.780 0.959 0.195
O54 0.793 0.830 0.694
O55 0.814 0.832 0.405
O56 0.814 0.981 0.905
O57 0.824 0.033 0.305
O58 0.829 0.794 0.803
O59 0.833 0.540 0.528
O60 0.833 0.799 0.087
O61 0.835 0.523 0.242
O62 0.836 0.308 0.740
O63 0.837 0.306 0.026
O64 0.841 0.035 0.591
O65 0.856 0.355 0.423
O66 0.856 0.501 0.923
O67 0.863 0.506 0.639
O68 0.864 0.360 0.138
O69 0.964 0.171 0.803
O70 0.965 0.167 0.087
O71 0.965 0.807 0.591
O72 0.967 0.792 0.305
```

---

> Number 3 is which compound?

NaMgAl3S6O24

---

> Among the records above, which one has the highest MP2020-corrected energy?

NaMgAl3S6O24